Record 1
The following is a r²SCAN calculation of crystalline La3TaO7 at its relaxed geometry, from the Materials Project database.

## Properties
Its total energy is -440.2 eV for the cell shown. The calculation puts the energy relative to the lowest polymorph listed for this composition at 0.000 eV/atom. The mass density comes out at 7.15 Mg/m³. Its energy relative to the elements is -3680 meV per atom. Its symmetry is Cmcm (63).

a = 6.755 Å, b = 6.755 Å, c = 7.778 Å
α = 90.00°, β = 90.00°, γ = 111.75°
Positions (direct):
1 La 0.000 0.000 0.000
2 La 0.000 0.000 0.500
3 La 0.476 0.931 0.750
4 La 0.524 0.069 0.250
5 La 0.931 0.476 0.750
6 La 0.069 0.524 0.250
7 Ta 0.500 0.500 0.000
8 Ta 0.500 0.500 0.500
9 O 0.846 0.106 0.750
10 O 0.154 0.894 0.250
11 O 0.106 0.846 0.750
12 O 0.894 0.154 0.250
13 O 0.439 0.190 0.967
14 O 0.561 0.810 0.467
15 O 0.190 0.439 0.533
16 O 0.810 0.561 0.033
17 O 0.438 0.438 0.250
18 O 0.562 0.562 0.750
19 O 0.190 0.439 0.967
20 O 0.810 0.561 0.467
21 O 0.439 0.190 0.533
22 O 0.561 0.810 0.033



Record 2
The following is a r²SCAN calculation of crystalline Ce2Ga5Cu3 at its relaxed geometry, from the Materials Project database.

## Properties
Its total energy is -156.4 eV for the cell shown. The mass density comes out at 7.46 Mg/m³. Its energy relative to the elements is -501 meV per atom. Its symmetry is P-4m2 (115).

a = 4.239 Å, b = 4.239 Å, c = 10.152 Å
α = 90.00°, β = 90.00°, γ = 90.00°
Positions (direct):
1 Ce 0.500 0.000 0.742
2 Ce 0.000 0.500 0.258
3 Ga 0.000 0.500 0.865
4 Ga 0.500 0.000 0.382
5 Ga 0.500 0.000 0.135
6 Ga 0.000 0.500 0.618
7 Ga 0.500 0.500 0.000
8 Cu 0.000 0.000 0.500
9 Cu 0.000 0.000 0.000
10 Cu 0.500 0.500 0.500



Record 3
The following is a r²SCAN calculation of crystalline Na5In2Te6 at its relaxed geometry, from the Materials Project database.

## Properties
Its total energy is -907.8 eV for the cell shown. The mass density comes out at 4.48 Mg/m³. Its energy relative to the elements is -882 meV per atom. Its symmetry is Cmc2_1 (36).

a = 8.928 Å, b = 8.928 Å, c = 23.611 Å
α = 90.00°, β = 90.00°, γ = 118.92°
Positions (direct):
1 Na 0.753 0.746 0.249
2 Na 0.247 0.254 0.749
3 Na 0.254 0.247 0.249
4 Na 0.746 0.753 0.749
5 Na 0.009 0.503 0.252
6 Na 0.991 0.497 0.752
7 Na 0.497 0.991 0.252
8 Na 0.503 0.009 0.752
9 Na 0.916 0.565 0.089
10 Na 0.084 0.435 0.589
11 Na 0.435 0.084 0.089
12 Na 0.565 0.916 0.589
13 Na 0.160 0.313 0.412
14 Na 0.840 0.687 0.912
15 Na 0.687 0.840 0.412
16 Na 0.313 0.160 0.912
17 Na 0.183 0.432 0.000
18 Na 0.817 0.568 0.500
19 Na 0.568 0.817 0.000
20 Na 0.432 0.183 0.500
21 In 0.966 0.034 0.120
22 In 0.034 0.966 0.620
23 In 0.735 0.265 0.378
24 In 0.265 0.735 0.878
25 In 0.216 0.784 0.382
26 In 0.784 0.216 0.882
27 In 0.488 0.512 0.120
28 In 0.512 0.488 0.620
29 Te 0.781 0.219 0.003
30 Te 0.219 0.781 0.503
31 Te 0.878 0.122 0.308
32 Te 0.122 0.878 0.808
33 Te 0.630 0.370 0.191
34 Te 0.370 0.630 0.691
35 Te 0.970 0.030 0.999
36 Te 0.030 0.970 0.499
37 Te 0.860 0.622 0.360
38 Te 0.140 0.378 0.860
39 Te 0.378 0.140 0.360
40 Te 0.622 0.860 0.860
41 Te 0.133 0.392 0.141
42 Te 0.867 0.608 0.641
43 Te 0.608 0.867 0.141
44 Te 0.392 0.133 0.641
45 Te 0.546 0.454 0.008
46 Te 0.454 0.546 0.508
47 Te 0.370 0.630 0.324
48 Te 0.630 0.370 0.824
49 Te 0.878 0.122 0.677
50 Te 0.122 0.878 0.177
51 Te 0.794 0.206 0.491
52 Te 0.206 0.794 0.991



Record 4
The following is a r²SCAN calculation of crystalline Bi2Pd at its relaxed geometry, from the Materials Project database.

## Properties
Its total energy is -140.4 eV for the cell shown. The mass density comes out at 11.46 Mg/m³. Its energy relative to the elements is -150 meV per atom. Its symmetry is I4/mmm (139).

a = 3.387 Å, b = 3.387 Å, c = 7.043 Å
α = 103.91°, β = 103.91°, γ = 90.00°
Positions (direct):
1 Bi 0.632 0.632 0.265
2 Bi 0.368 0.368 0.735
3 Pd 0.000 0.000 0.000



Record 5
The following is a r²SCAN calculation of crystalline Hg7Cl2O3 at its relaxed geometry, from the Materials Project database.

## Properties
Its total energy is -1522.6 eV for the cell shown. The mass density comes out at 9.19 Mg/m³. Its energy relative to the elements is -403 meV per atom. Its symmetry is Pbcm (57).

a = 6.545 Å, b = 11.931 Å, c = 14.104 Å
α = 90.00°, β = 90.00°, γ = 90.00°
Positions (direct):
1 Hg 0.472 0.115 0.581
2 Hg 0.472 0.385 0.419
3 Hg 0.528 0.615 0.919
4 Hg 0.528 0.885 0.081
5 Hg 0.528 0.885 0.419
6 Hg 0.528 0.615 0.581
7 Hg 0.472 0.385 0.081
8 Hg 0.472 0.115 0.919
9 Hg 0.680 0.290 0.630
10 Hg 0.680 0.210 0.370
11 Hg 0.320 0.790 0.870
12 Hg 0.320 0.710 0.130
13 Hg 0.320 0.710 0.370
14 Hg 0.320 0.790 0.630
15 Hg 0.680 0.210 0.130
16 Hg 0.680 0.290 0.870
17 Hg 0.135 0.040 0.750
18 Hg 0.135 0.460 0.250
19 Hg 0.865 0.540 0.750
20 Hg 0.865 0.960 0.250
21 Hg 0.159 0.243 0.250
22 Hg 0.159 0.257 0.750
23 Hg 0.841 0.743 0.250
24 Hg 0.841 0.757 0.750
25 Hg 0.000 0.000 0.500
26 Hg 0.000 0.500 0.500
27 Hg 0.000 0.500 0.000
28 Hg 0.000 0.000 0.000
29 Cl 0.076 0.250 0.500
30 Cl 0.924 0.750 0.000
31 Cl 0.924 0.750 0.500
32 Cl 0.076 0.250 0.000
33 Cl 0.336 0.446 0.750
34 Cl 0.336 0.054 0.250
35 Cl 0.664 0.946 0.750
36 Cl 0.664 0.554 0.250
37 O 0.861 0.364 0.750
38 O 0.861 0.136 0.250
39 O 0.139 0.864 0.750
40 O 0.139 0.636 0.250
41 O 0.285 0.970 0.554
42 O 0.285 0.530 0.446
43 O 0.715 0.470 0.946
44 O 0.715 0.030 0.054
45 O 0.715 0.030 0.446
46 O 0.715 0.470 0.554
47 O 0.285 0.530 0.054
48 O 0.285 0.970 0.946



Record 6
The following is a r²SCAN calculation of crystalline Y3Al3Ga2O12 at its relaxed geometry, from the Materials Project database.

## Properties
Its total energy is -966.2 eV for the cell shown. The mass density comes out at 5.05 Mg/m³. Its energy relative to the elements is -3293 meV per atom. Its symmetry is Ia-3d (230).

a = 10.510 Å, b = 10.510 Å, c = 10.510 Å
α = 109.47°, β = 109.47°, γ = 109.47°
Positions (direct):
1 Y 0.750 0.125 0.375
2 Y 0.375 0.750 0.125
3 Y 0.125 0.375 0.750
4 Y 0.875 0.750 0.625
5 Y 0.625 0.250 0.875
6 Y 0.625 0.875 0.750
7 Y 0.875 0.625 0.250
8 Y 0.750 0.625 0.875
9 Y 0.250 0.875 0.625
10 Y 0.125 0.250 0.375
11 Y 0.375 0.125 0.250
12 Y 0.250 0.375 0.125
13 Al 0.875 0.250 0.125
14 Al 0.125 0.875 0.250
15 Al 0.250 0.125 0.875
16 Al 0.125 0.750 0.875
17 Al 0.375 0.250 0.625
18 Al 0.875 0.125 0.750
19 Al 0.625 0.375 0.250
20 Al 0.750 0.875 0.125
21 Al 0.250 0.625 0.375
22 Al 0.750 0.375 0.625
23 Al 0.375 0.625 0.750
24 Al 0.625 0.750 0.375
25 Ga 0.500 0.000 0.000
26 Ga 0.000 0.500 0.000
27 Ga 0.000 0.000 0.500
28 Ga 0.500 0.000 0.500
29 Ga 0.500 0.500 0.000
30 Ga 0.000 0.500 0.500
31 Ga 0.500 0.500 0.500
32 Ga 0.000 0.000 0.000
33 O 0.621 0.416 0.099
34 O 0.978 0.683 0.099
35 O 0.879 0.401 0.084
36 O 0.916 0.294 0.317
37 O 0.206 0.121 0.022
38 O 0.584 0.183 0.206
39 O 0.901 0.022 0.317
40 O 0.916 0.121 0.599
41 O 0.099 0.621 0.416
42 O 0.099 0.978 0.683
43 O 0.084 0.879 0.401
44 O 0.022 0.206 0.121
45 O 0.317 0.916 0.294
46 O 0.206 0.584 0.183
47 O 0.599 0.916 0.121
48 O 0.317 0.901 0.022
49 O 0.416 0.099 0.621
50 O 0.401 0.084 0.879
51 O 0.683 0.099 0.978
52 O 0.121 0.022 0.206
53 O 0.294 0.317 0.916
54 O 0.183 0.206 0.584
55 O 0.022 0.317 0.901
56 O 0.121 0.599 0.916
57 O 0.522 0.401 0.817
58 O 0.817 0.522 0.401
59 O 0.401 0.817 0.522
60 O 0.794 0.416 0.817
61 O 0.416 0.817 0.794
62 O 0.817 0.794 0.416
63 O 0.084 0.706 0.683
64 O 0.978 0.794 0.879
65 O 0.683 0.084 0.706
66 O 0.879 0.978 0.794
67 O 0.706 0.683 0.084
68 O 0.794 0.879 0.978
69 O 0.706 0.522 0.621
70 O 0.522 0.621 0.706
71 O 0.621 0.706 0.522
72 O 0.584 0.901 0.379
73 O 0.379 0.584 0.901
74 O 0.901 0.379 0.584
75 O 0.478 0.599 0.183
76 O 0.183 0.478 0.599
77 O 0.599 0.183 0.478
78 O 0.294 0.478 0.379
79 O 0.478 0.379 0.294
80 O 0.379 0.294 0.478



Record 7
The following is a r²SCAN calculation of crystalline ErZn3P3 at its relaxed geometry, from the Materials Project database.

## Properties
Its total energy is -185.5 eV for the cell shown. The mass density comes out at 5.68 Mg/m³. Its energy relative to the elements is -723 meV per atom. Its symmetry is P6_3/mmc (194).

a = 3.955 Å, b = 3.955 Å, c = 19.709 Å
α = 90.00°, β = 90.00°, γ = 120.00°
Positions (direct):
1 Er 0.000 0.000 0.000
2 Er 0.000 0.000 0.500
3 Zn 0.333 0.667 0.750
4 Zn 0.667 0.333 0.250
5 Zn 0.333 0.667 0.128
6 Zn 0.667 0.333 0.872
7 Zn 0.667 0.333 0.628
8 Zn 0.333 0.667 0.372
9 P 0.333 0.667 0.583
10 P 0.667 0.333 0.417
11 P 0.667 0.333 0.083
12 P 0.333 0.667 0.917
13 P 0.333 0.667 0.250
14 P 0.667 0.333 0.750



Record 8
The following is a r²SCAN calculation of crystalline PrSi2Ru2 at its relaxed geometry, from the Materials Project database.

## Properties
Its total energy is -102.5 eV for the cell shown. The mass density comes out at 7.58 Mg/m³. Its energy relative to the elements is -931 meV per atom. Its symmetry is I4/mmm (139).

a = 4.211 Å, b = 4.211 Å, c = 5.762 Å
α = 111.44°, β = 111.44°, γ = 90.00°
Positions (direct):
1 Pr 0.000 0.000 0.000
2 Si 0.638 0.638 0.277
3 Si 0.362 0.362 0.723
4 Ru 0.750 0.250 0.500
5 Ru 0.250 0.750 0.500